# 1
Computed, not measured: VXe2F17 after structural relaxation at the GGA+U level of DFT.

Cell: 9.1634 9.0204 18.2731 Å, 90.00 117.39 90.00°
With the nearest neighbours (Å) after each atom.
Fractional positions:
V1 0.2273 0.1584 0.4786  6 F 1.76-1.93
V2 0.2273 0.3416 0.9786  6 F 1.76-1.93
V3 0.7727 0.6584 0.0214  6 F 1.76-1.93
V4 0.7727 0.8416 0.5214  6 F 1.76-1.93
Xe1 0.1158 0.7187 0.3789  5 F 1.97-2.00
Xe2 0.1158 0.7813 0.8789  5 F 1.97-2.00
Xe3 0.4058 0.6984 0.1569  5 F 1.97-2.00
Xe4 0.4058 0.8016 0.6569  5 F 1.97-2.00
Xe5 0.5942 0.1984 0.3431  5 F 1.97-2.00
Xe6 0.5942 0.3016 0.8431  5 F 1.97-2.00
Xe7 0.8842 0.2187 0.1211  5 F 1.97-2.00
Xe8 0.8842 0.2813 0.6211  5 F 1.97-2.00
F1 0.0194 0.5714 0.4257  1 Xe 1.99
F2 0.0185 0.5825 0.2840  1 Xe 1.97
F3 0.0185 0.9175 0.7840  1 Xe 1.97
F4 0.0194 0.9286 0.9257  1 Xe 1.99
F5 0.0467 0.1576 0.4934  1 V 1.80
F6 0.0467 0.3424 0.9934  1 V 1.80
F7 0.1093 0.1943 0.6795  1 Xe 2.00
F8 0.1093 0.3057 0.1795  1 Xe 2.00
F9 0.1258 0.2408 0.8856  1 V 1.77
F10 0.1258 0.2592 0.3856  1 V 1.77
F11 0.1433 0.5222 0.9160  1 V 1.93
F12 0.1433 0.9778 0.4160  1 V 1.93
F13 0.1890 0.6785 0.8047  1 Xe 2.00
F14 0.1890 0.8215 0.3047  1 Xe 2.00
F15 0.2484 0.6435 0.6497  1 Xe 1.99
F16 0.2484 0.8565 0.1497  1 Xe 1.99
F17 0.2802 0.5685 0.1969  1 Xe 2.00
F18 0.2798 0.7455 0.5207  2 Xe 2.27-2.33
F19 0.2798 0.7545 0.0207  2 Xe 2.27-2.33
F20 0.2802 0.9315 0.6969  1 Xe 2.00
F21 0.3084 0.5862 0.4071  1 Xe 1.99
F22 0.3084 0.9138 0.9071  1 Xe 1.99
F23 0.3087 0.1836 0.0411  1 V 1.76
F24 0.3087 0.3164 0.5411  1 V 1.76
F25 0.3282 0.0341 0.5721  1 V 1.89
F26 0.3282 0.4659 0.0721  1 V 1.89
F27 0.3974 0.0650 0.2992  1 Xe 2.00
F28 0.3974 0.4350 0.7992  1 Xe 2.00
F29 0.4061 0.1341 0.4640  1 V 1.79
F30 0.4061 0.3659 0.9640  1 V 1.79
F31 0.4477 0.1440 0.8487  1 Xe 1.99
F32 0.4477 0.3560 0.3487  1 Xe 1.99
F33 0.4895 0.2412 0.7261  1 Xe 1.97
F34 0.4895 0.2588 0.2261  1 Xe 1.97
F35 0.5105 0.7412 0.7739  1 Xe 1.97
F36 0.5105 0.7588 0.2739  1 Xe 1.97
F37 0.5523 0.6440 0.6513  1 Xe 1.99
F38 0.5523 0.8560 0.1513  1 Xe 1.99
F39 0.5939 0.6341 0.0360  1 V 1.79
F40 0.5939 0.8659 0.5360  1 V 1.79
F41 0.6026 0.5650 0.2008  1 Xe 2.00
F42 0.6026 0.9350 0.7008  1 Xe 2.00
F43 0.6718 0.5341 0.9279  1 V 1.89
F44 0.6718 0.9659 0.4279  1 V 1.89
F45 0.6913 0.6836 0.4589  1 V 1.76
F46 0.6913 0.8164 0.9589  1 V 1.76
F47 0.6916 0.0862 0.0929  1 Xe 1.99
F48 0.6916 0.4138 0.5929  1 Xe 1.99
F49 0.7198 0.0685 0.3031  1 Xe 2.00
F50 0.7202 0.2455 0.9793  2 Xe 2.27-2.33
F51 0.7202 0.2545 0.4793  2 Xe 2.27-2.33
F52 0.7198 0.4315 0.8031  1 Xe 2.00
F53 0.7516 0.1435 0.8503  1 Xe 1.99
F54 0.7516 0.3565 0.3503  1 Xe 1.99
F55 0.8110 0.1785 0.6953  1 Xe 2.00
F56 0.8110 0.3215 0.1953  1 Xe 2.00
F57 0.8567 0.0222 0.5840  1 V 1.93
F58 0.8567 0.4778 0.0840  1 V 1.93
F59 0.8742 0.7408 0.6144  1 V 1.77
F60 0.8742 0.7592 0.1144  1 V 1.77
F61 0.8907 0.6943 0.8205  1 Xe 2.00
F62 0.8907 0.8057 0.3205  1 Xe 2.00
F63 0.9533 0.6576 0.0066  1 V 1.80
F64 0.9533 0.8424 0.5066  1 V 1.80
F65 0.9806 0.0714 0.0743  1 Xe 1.99
F66 0.9815 0.0825 0.2160  1 Xe 1.97
F67 0.9815 0.4175 0.7160  1 Xe 1.97
F68 0.9806 0.4286 0.5743  1 Xe 1.99

Output
**Uncorrected energy**: -240.62 eV for the cell shown
**Space group**: No. 14
**Total magnetization**: 0.21 μB per cell
**DFT formation energy**: -32.29 kcal/mol of atoms



# 2
Computed, not measured: Sr6MgW4O18 after structural relaxation at the GGA+U level of DFT.

Cell: 6.8225 7.4461 9.3469 Å, 76.41 79.42 88.30°
With the nearest neighbours (Å) after each atom.
Fractional positions:
Sr1 0.0000 0.0000 0.0000  7 O 2.53-2.81
Sr2 0.0948 0.9164 0.5571  6 O 2.42-2.66
Sr3 0.3094 0.3170 0.2548  6 O 2.39-2.67
Sr4 0.5032 0.2166 0.8788  6 O 2.42-2.67
Sr5 0.6409 0.7340 0.8292  2 O 2.37-2.62
Sr6 0.8075 0.5147 0.3218  6 O 2.52-2.71
Mg1 0.3861 0.5090 0.6100  3 O 1.99-2.15
W1 0.0882 0.4785 0.8881  3 O 1.83-1.99
W2 0.4047 0.7685 0.1910  4 O 1.84-2.05
W3 0.5999 0.9416 0.3936  3 O 1.82-1.86
W4 0.9335 0.3082 0.6679  6 O 1.94-2.16
O1 0.0404 0.2784 0.4675  1 W 1.94
O2 0.0609 0.5734 0.6613  2 W 2.11-2.16, 1 Mg 2.24
O3 0.1589 0.6538 0.2407  1 W 1.84
O4 0.1618 0.2819 0.0501  1 W 1.97
O5 0.1972 0.2580 0.7479  1 W 2.06, 1 Mg 2.28
O6 0.3309 0.9737 0.3040  2 W 2.05-2.14
O7 0.3775 0.5396 0.8202  1 W 1.99, 1 Mg 2.02
O8 0.3815 0.9049 0.9983  1 W 1.88
O9 0.4551 0.9035 0.5871  1 W 1.86
O10 0.4775 0.6566 0.4022  1 Mg 1.99, 1 W 2.10
O11 0.5503 0.5768 0.1262  1 W 1.87
O12 0.6374 0.1933 0.3426  1 W 1.84
O13 0.6785 0.8974 0.1808  2 W 2.06-2.10
O14 0.6814 0.4036 0.6154  1 W 1.94, 1 Mg 2.15
O15 0.8353 0.3313 0.8933  2 W 2.06-2.14
O16 0.8350 0.8396 0.4360  1 W 1.82
O17 0.8513 0.0414 0.7541  1 W 2.01
O18 0.9706 0.6759 0.9546  1 W 1.83

Output
**Uncorrected energy**: -202.50 eV for the cell shown
**Polymorph energy (0 for the lowest one)**: 0.0265 eV/atom
**Space group**: No. 1
**Total magnetization**: 2.00 μB per cell
**DFT formation energy**: -63.60 kcal/mol of atoms